GGA+U NaVP2O7, optimized geometry; M_tot = 0.00 μB/atom; ΔE_f = -2.7128 eV/atom
1.0
-1.0516 -7.0545 0.7820
-8.4248 3.1014 3.5767
-7.9721 -0.8593 -5.3948
V O P Na
4 28 8 4
Direct
0.7321 0.3581 0.1377 V
0.2680 0.3878 0.6081 V
0.2678 0.8877 0.1082 V
0.7320 0.8581 0.6377 V
0.4541 0.6089 0.4509 O
0.5460 0.2008 0.3589 O
0.5031 0.7975 0.0630 O
0.9080 0.0021 0.4093 O
0.6344 0.5489 0.1331 O
0.2823 0.0392 0.6075 O
0.1809 0.8894 0.9180 O
0.0917 0.6592 0.2521 O
0.1810 0.3895 0.4179 O
0.9310 0.9076 0.7545 O
0.9309 0.4074 0.2546 O
0.7179 0.3575 0.7892 O
0.7178 0.8576 0.2890 O
0.4541 0.1088 0.9509 O
0.5458 0.7008 0.8590 O
0.4967 0.3128 0.0476 O
0.0919 0.1592 0.7522 O
0.4968 0.8129 0.5476 O
0.9081 0.5024 0.9092 O
0.2820 0.5391 0.1075 O
0.8192 0.1680 0.1392 O
0.6345 0.0491 0.6330 O
0.3654 0.8830 0.2990 O
0.0690 0.0045 0.1576 O
0.3656 0.3830 0.7989 O
0.0691 0.5046 0.6577 O
0.5034 0.2977 0.5627 O
0.8191 0.6680 0.6393 O
0.4946 0.2879 0.9034 P
0.8851 0.5163 0.7467 P
0.1150 0.9967 0.7662 P
0.5056 0.1535 0.5379 P
0.8851 0.0163 0.2467 P
0.1149 0.4966 0.2662 P
0.4946 0.7880 0.4034 P
0.5054 0.6534 0.0380 P
0.2618 0.5933 0.8194 Na
0.2618 0.0933 0.3193 Na
0.7383 0.0694 0.8434 Na
0.7382 0.5694 0.3434 Na